# 1
The following is a DFT calculation (PBE+U) of crystalline BaAlVCuO5 at its relaxed geometry.

Unit cell a=3.6925 b=3.8171 c=8.0773 alpha=90.00 beta=90.00 gamma=90.00
With the nearest neighbours (Å) after each atom.
Fractional positions:
Al1 0.5000 0.0000 0.5348  8 O 2.16-2.34
V1 0.0000 0.5000 0.3120  5 O 1.85-2.02
O1 0.5000 0.5000 0.3966  2 V 1.97
O2 0.0000 0.0000 0.7034  2 Cu 1.91
O3 0.0000 0.0000 0.3956  2 V 2.02, 2 Al 2.16
O4 0.5000 0.5000 0.7023  2 Cu 1.85
O5 0.0000 0.5000 0.0832  1 V 1.85
Cu1 0.0000 0.5000 0.7146  4 O 1.85-1.91
Ba1 0.5000 0.0000 0.9695  8 O 2.81-2.88

Computed properties:
* E (MP2020): -7.05 eV per atom
* space group: Pmm2 (25)

---

# 2
The following is a DFT calculation (PBE+U) of crystalline Li95Mn16O64 at its relaxed geometry.

Unit cell a=13.4189 b=13.4401 c=9.4454 alpha=90.00 beta=90.00 gamma=90.00
With the nearest neighbours (Å) after each atom.
Fractional positions:
O1 0.7583 0.8761 0.5132  5 Li 1.95-2.16, 1 Mn 2.07
O2 0.6250 0.2423 0.7356  6 Li 1.94-2.17, 1 Mn 2.08
O3 0.6250 0.0077 0.7356  6 Li 1.94-2.17, 1 Mn 2.08
O4 0.8745 0.7583 0.7635  4 Li 1.94-1.99, 1 Mn 2.08
O5 0.1250 0.2420 0.7375  6 Li 1.98-2.16, 1 Mn 2.08
O6 0.4917 0.8753 0.0136  5 Li 1.94-2.17, 1 Mn 2.08
O7 0.1250 0.7408 0.2374  4 Li 1.93-1.98, 1 Mn 2.07
O8 0.9913 0.8750 0.5157  5 Li 1.95-2.17, 1 Mn 2.08
O9 0.8754 0.7588 0.2634  6 Li 1.97-2.18, 1 Mn 2.08
O10 0.2587 0.3750 0.5157  5 Li 1.95-2.17, 1 Mn 2.08
O11 0.8769 0.2565 0.2624  4 Li 1.93-2.09, 1 Mn 2.06
O12 0.2423 0.6250 0.4874  4 Li 1.94-1.99, 1 Mn 2.07
O13 0.8736 0.9936 0.7666  6 Li 1.98-2.19, 1 Mn 2.03
O14 0.5078 0.6250 0.9874  6 Li 1.95-2.18, 1 Mn 2.07
O15 0.6250 0.5076 0.2377  4 Li 1.95-1.99, 1 Mn 2.07
O16 0.9931 0.3764 0.0111  4 Li 1.93-1.97, 1 Mn 2.07
O17 0.6250 0.0088 0.2354  4 Li 1.94-1.98, 1 Mn 2.08
O18 0.1250 0.2493 0.2431  5 Li 1.91-2.06, 1 Mn 2.04
O19 0.7583 0.3747 0.0136  5 Li 1.94-2.17, 1 Mn 2.08
O20 0.3746 0.4912 0.2634  6 Li 1.97-2.18, 1 Mn 2.08
O21 0.7421 0.1250 0.9819  6 Li 1.96-2.19, 1 Mn 2.04
O22 0.7583 0.3739 0.5132  5 Li 1.95-2.16, 1 Mn 2.07
O23 0.4917 0.3747 0.0136  5 Li 1.94-2.17, 1 Mn 2.08
O24 0.1250 0.0007 0.2431  5 Li 1.91-2.06, 1 Mn 2.04
O25 0.4917 0.8761 0.5132  5 Li 1.95-2.16, 1 Mn 2.07
O26 0.7583 0.8753 0.0136  5 Li 1.94-2.17, 1 Mn 2.08
O27 0.3746 0.7588 0.2634  6 Li 1.97-2.18, 1 Mn 2.08
O28 0.0077 0.6250 0.4874  4 Li 1.94-1.99, 1 Mn 2.07
O29 0.9931 0.8736 0.0111  4 Li 1.93-1.97, 1 Mn 2.07
O30 0.5076 0.6250 0.4871  4 Li 1.95-1.99, 1 Mn 2.08
O31 0.0003 0.1250 0.9731  5 Li 1.94-2.13, 1 Mn 1.95
O32 0.0080 0.6250 0.9865  6 Li 1.95-2.18, 1 Mn 2.07
O33 0.6250 0.7424 0.2377  4 Li 1.95-1.99, 1 Mn 2.07
O34 0.7421 0.1250 0.4864  4 Li 1.94-1.99, 1 Mn 2.08
O35 0.8769 0.9935 0.2624  4 Li 1.93-2.09, 1 Mn 2.06
O36 0.0078 0.1250 0.4868  4 Li 1.94-2.09, 1 Mn 2.06
O37 0.5079 0.1250 0.9819  6 Li 1.96-2.19, 1 Mn 2.04
O38 0.7422 0.6250 0.9874  6 Li 1.95-2.18, 1 Mn 2.07
O39 0.2587 0.8750 0.5157  5 Li 1.95-2.17, 1 Mn 2.08
O40 0.6250 0.2412 0.2354  4 Li 1.94-1.98, 1 Mn 2.08
O41 0.7424 0.6250 0.4871  4 Li 1.95-1.99, 1 Mn 2.08
O42 0.9913 0.3750 0.5157  5 Li 1.95-2.17, 1 Mn 2.08
O43 0.6250 0.7421 0.7371  4 Li 1.95-1.99, 1 Mn 2.07
O44 0.3755 0.4917 0.7635  4 Li 1.94-1.99, 1 Mn 2.08
O45 0.8754 0.4912 0.2634  6 Li 1.97-2.18, 1 Mn 2.08
O46 0.2569 0.3764 0.0111  4 Li 1.93-1.97, 1 Mn 2.07
O47 0.4917 0.3739 0.5132  5 Li 1.95-2.16, 1 Mn 2.07
O48 0.1250 0.7416 0.7365  4 Li 1.94-1.98, 1 Mn 2.07
O49 0.5079 0.1250 0.4864  4 Li 1.94-1.99, 1 Mn 2.08
O50 0.2422 0.1250 0.4868  4 Li 1.94-2.09, 1 Mn 2.06
O51 0.3755 0.7583 0.7635  4 Li 1.94-1.99, 1 Mn 2.08
O52 0.1250 0.5092 0.2374  4 Li 1.93-1.98, 1 Mn 2.07
O53 0.1250 0.0080 0.7375  6 Li 1.98-2.16, 1 Mn 2.08
O54 0.6250 0.5079 0.7371  4 Li 1.95-1.99, 1 Mn 2.07
O55 0.1250 0.5084 0.7365  4 Li 1.94-1.98, 1 Mn 2.07
O56 0.3764 0.9936 0.7666  6 Li 1.98-2.19, 1 Mn 2.03
O57 0.8745 0.4917 0.7635  4 Li 1.94-1.99, 1 Mn 2.08
O58 0.3764 0.2564 0.7666  6 Li 1.98-2.19, 1 Mn 2.03
O59 0.2420 0.6250 0.9865  6 Li 1.95-2.18, 1 Mn 2.07
O60 0.3731 0.2565 0.2624  4 Li 1.93-2.09, 1 Mn 2.06
O61 0.2569 0.8736 0.0111  4 Li 1.93-1.97, 1 Mn 2.07
O62 0.3731 0.9935 0.2624  4 Li 1.93-2.09, 1 Mn 2.06
O63 0.8736 0.2564 0.7666  6 Li 1.98-2.19, 1 Mn 2.03
O64 0.2497 0.1250 0.9731  5 Li 1.94-2.13, 1 Mn 1.95
Li1 0.0171 0.2669 0.8763  4 O 1.97-2.19
Li2 0.5162 0.4830 0.3750  4 O 1.98-2.19
Li3 0.8749 0.8750 0.6428  4 O 1.94-1.99
Li4 0.2325 0.4836 0.8750  4 O 1.96-2.19
Li5 0.4808 0.0165 0.1234  4 O 1.98-2.21
Li6 0.3751 0.3750 0.6428  4 O 1.94-1.99
Li7 0.6250 0.6250 0.3587  4 O 1.95-1.99
Li8 0.9969 0.2251 0.1285  3 O 1.99-2.09
Li9 0.1250 0.1250 0.6066  4 O 1.94-2.00
Li10 0.9831 0.7333 0.6251  4 O 1.98-2.18
Li11 0.7672 0.7328 0.6253  4 O 1.97-2.20
Li12 0.2322 0.2675 0.3774  2 O 1.93-1.98
Li13 0.7677 0.5159 0.1251  4 O 1.98-2.19
Li14 0.6250 0.1250 0.8548  4 O 1.94-1.98
Li15 0.2531 0.0249 0.1285  3 O 1.99-2.09
Li16 0.5162 0.7670 0.3750  4 O 1.98-2.19
Li17 0.0178 0.9825 0.3774  2 O 1.93-1.98
Li18 0.8755 0.3741 0.3916  4 O 1.95-2.00
Li19 0.5166 0.4835 0.8756  4 O 1.98-2.18
Li20 0.3745 0.8741 0.8935  4 O 1.93-2.00
Li21 0.6250 0.1250 0.6069  4 O 1.94-1.99
Li22 0.7338 0.4830 0.3750  4 O 1.98-2.19
Li23 0.7692 0.2335 0.1234  4 O 1.98-2.21
Li24 0.7692 0.0165 0.1234  4 O 1.98-2.21
Li25 0.7334 0.4835 0.8756  4 O 1.98-2.18
Li26 0.8755 0.8741 0.8935  4 O 1.93-2.00
Li27 0.6250 0.1250 0.1062  4 O 1.96-1.98
Li28 0.7677 0.7341 0.1251  4 O 1.98-2.19
Li29 0.8788 0.8774 0.1415  4 O 1.93-2.02
Li30 0.2322 0.9825 0.3774  2 O 1.93-1.98
Li31 0.9845 0.0173 0.6261  4 O 1.98-2.18
Li32 0.1250 0.6250 0.3586  4 O 1.93-1.99
Li33 0.2668 0.5171 0.1247  4 O 1.98-2.18
Li34 0.4828 0.7328 0.6253  4 O 1.97-2.20
Li35 0.8788 0.3726 0.1415  4 O 1.93-2.02
Li36 0.7672 0.5172 0.6253  4 O 1.97-2.20
Li37 0.1250 0.6250 0.6080  4 O 1.94-1.98
Li38 0.2668 0.7329 0.1247  4 O 1.98-2.18
Li39 0.3712 0.8774 0.1415  4 O 1.93-2.02
Li40 0.2669 0.7333 0.6251  4 O 1.98-2.18
Li41 0.2655 0.2327 0.6261  4 O 1.98-2.18
Li42 0.3745 0.3759 0.8935  4 O 1.93-2.00
Li43 0.5180 0.2687 0.8746  4 O 1.97-2.19
Li44 0.1250 0.1250 0.8681  4 O 1.94-2.00
Li45 0.7334 0.7665 0.8756  4 O 1.98-2.18
Li46 0.7657 0.0163 0.6237  4 O 1.98-2.17
Li47 0.2330 0.7674 0.3752  4 O 1.98-2.19
Li48 0.3712 0.3726 0.1415  4 O 1.93-2.02
Li49 0.7320 0.9813 0.8746  4 O 1.97-2.19
Li50 0.3745 0.8759 0.3916  4 O 1.95-2.00
Li51 0.6250 0.6250 0.6084  4 O 1.95-1.99
Li52 0.9969 0.0249 0.1285  3 O 1.99-2.09
Li53 0.9845 0.2327 0.6261  4 O 1.98-2.18
Li54 0.0178 0.2675 0.3774  2 O 1.93-1.98
Li55 0.7335 0.9837 0.3736  4 O 1.98-2.20
Li56 0.3745 0.3741 0.3916  4 O 1.95-2.00
Li57 0.8755 0.8759 0.3916  4 O 1.95-2.00
Li58 0.2330 0.4826 0.3752  4 O 1.98-2.19
Li59 0.7657 0.2337 0.6237  4 O 1.98-2.17
Li60 0.2329 0.9831 0.8763  4 O 1.97-2.19
Li61 0.1250 0.6250 0.8579  4 O 1.94-1.98
Li62 0.6250 0.1250 0.3572  4 O 1.94-1.99
Li63 0.2655 0.0173 0.6261  4 O 1.98-2.18
Li64 0.0170 0.4826 0.3752  4 O 1.98-2.19
Li65 0.8749 0.3750 0.6428  4 O 1.94-1.99
Li66 0.4823 0.5159 0.1251  4 O 1.98-2.19
Li67 0.5166 0.7665 0.8756  4 O 1.98-2.18
Li68 0.4808 0.2335 0.1234  4 O 1.98-2.21
Li69 0.4828 0.5172 0.6253  4 O 1.97-2.20
Li70 0.9832 0.5171 0.1247  4 O 1.98-2.18
Li71 0.6250 0.6250 0.1091  4 O 1.95-1.99
Li72 0.7335 0.2663 0.3736  4 O 1.98-2.20
Li73 0.2329 0.2669 0.8763  4 O 1.97-2.19
Li74 0.0175 0.7664 0.8750  4 O 1.96-2.19
Li75 0.7338 0.7670 0.3750  4 O 1.98-2.19
Li76 0.5165 0.2663 0.3736  4 O 1.98-2.20
Li77 0.2531 0.2251 0.1285  3 O 1.99-2.09
Li78 0.5165 0.9837 0.3736  4 O 1.98-2.20
Li79 0.2669 0.5167 0.6251  4 O 1.98-2.18
Li80 0.2325 0.7664 0.8750  4 O 1.96-2.19
Li81 0.0170 0.7674 0.3752  4 O 1.98-2.19
Li82 0.5180 0.9813 0.8746  4 O 1.97-2.19
Li83 0.8755 0.3759 0.8935  4 O 1.93-2.00
Li84 0.6250 0.6250 0.8588  4 O 1.95-1.99
Li85 0.0171 0.9831 0.8763  4 O 1.97-2.19
Li86 0.3751 0.8750 0.6428  4 O 1.94-1.99
Li87 0.7320 0.2687 0.8746  4 O 1.97-2.19
Li88 0.4843 0.0163 0.6237  4 O 1.98-2.17
Li89 0.4823 0.7341 0.1251  4 O 1.98-2.19
Li90 0.9832 0.7329 0.1247  4 O 1.98-2.18
Li91 0.0175 0.4836 0.8750  4 O 1.96-2.19
Li92 0.9831 0.5167 0.6251  4 O 1.98-2.18
Li93 0.1250 0.6250 0.1084  4 O 1.95-1.98
Li94 0.4843 0.2337 0.6237  4 O 1.98-2.17
Li95 0.1250 0.1250 0.3418  4 O 1.91-2.09
Mn1 0.3742 0.1250 0.3750  4 O 2.06-2.08
Mn2 0.6250 0.3751 0.1257  4 O 2.07-2.08
Mn3 0.8758 0.1250 0.3750  4 O 2.06-2.08
Mn4 0.3746 0.6250 0.3741  4 O 2.07-2.08
Mn5 0.1250 0.3751 0.6262  4 O 2.07-2.08
Mn6 0.8750 0.6250 0.8749  4 O 2.07-2.08
Mn7 0.1250 0.3769 0.1255  4 O 2.04-2.07
Mn8 0.3750 0.6250 0.8749  4 O 2.07-2.08
Mn9 0.6250 0.8749 0.1257  4 O 2.07-2.08
Mn10 0.6250 0.3759 0.6240  4 O 2.07-2.08
Mn11 0.3768 0.1250 0.8722  4 O 1.95-2.04
Mn12 0.1250 0.8749 0.6262  4 O 2.07-2.08
Mn13 0.8732 0.1250 0.8722  4 O 1.95-2.04
Mn14 0.8754 0.6250 0.3741  4 O 2.07-2.08
Mn15 0.6250 0.8741 0.6240  4 O 2.07-2.08
Mn16 0.1250 0.8731 0.1255  4 O 2.04-2.07

Computed properties:
* E (MP2020): -5.73 eV per atom
* space group: Pmm2 (25)

---

# 3
The following is a DFT calculation (PBE+U) of crystalline MgAlCuW2O8 at its relaxed geometry.

Unit cell a=5.3747 b=5.9827 c=5.7124 alpha=102.85 beta=122.24 gamma=93.04
With the nearest neighbours (Å) after each atom.
Fractional positions:
O1 0.6449 0.5643 0.3348  1 Al 1.90, 1 Cu 1.93, 1 W 2.04, 1 Mg 2.10
O2 0.1822 0.6216 0.8510  1 Al 1.93, 1 W 1.97, 1 Mg 2.07
O3 0.5916 0.0361 0.4089  2 W 1.97-2.07
O4 0.6445 0.3852 0.8087  1 Al 1.88
O5 0.0330 0.7966 0.3082  1 W 1.87, 1 Al 1.95
O6 0.6101 0.8653 0.8273  1 Al 1.85, 1 Mg 2.00, 1 W 2.01
O7 0.1697 0.1539 0.8206  1 Mg 2.00, 2 W 2.00-2.12
O8 0.0532 0.2643 0.3594  1 Cu 1.91, 2 W 1.96-2.10
W1 0.3414 0.0555 0.5863  4 O 1.87-2.07
W2 0.8609 0.3430 0.5682  5 O 1.96-2.12
Al1 0.6088 0.6561 0.0218  5 O 1.85-1.95
Mg1 0.8997 0.8521 0.7098  5 O 2.00-2.21
Cu1 0.2560 0.4534 0.2578  2 O 1.91-1.93

Computed properties:
* E (MP2020): -7.99 eV per atom
* space group: P1 (1)
* E above lowest polymorph: 0.65 eV/f.u.

---

# 4
The following is a DFT calculation (PBE+U) of crystalline Nb9VO25 at its relaxed geometry.

Unit cell a=11.5027 b=11.5027 c=11.5027 alpha=91.63 beta=91.63 gamma=160.58
With the nearest neighbours (Å) after each atom.
Fractional positions:
Nb1 0.7882 0.9010 0.6754  4 O 1.86-2.02
Nb2 0.6595 0.1010 0.7914  3 O 1.82-1.99
Nb3 0.8872 0.2118 0.1128  4 O 1.86-2.02
Nb4 0.1319 0.3405 0.4415  3 O 1.82-1.99
Nb5 0.8990 0.6904 0.5585  3 O 1.82-1.99
Nb6 0.2257 0.1128 0.3246  4 O 1.86-2.02
Nb7 0.0000 0.0000 0.0000  6 O 1.94-2.04
Nb8 0.0990 0.7743 0.8872  4 O 1.86-2.02
Nb9 0.3096 0.8681 0.2086  3 O 1.82-1.99
O1 0.9514 0.1183 0.0664  2 Nb 1.86-2.04
O2 0.0640 0.4357 0.5178  1 V 1.74
O3 0.8363 0.3473 0.1944  2 Nb 1.98-2.06
O4 0.6527 0.8471 0.4890  2 Nb 1.98-2.06
O5 0.8287 0.7881 0.6085  2 Nb 1.90-1.99
O6 0.7118 0.0042 0.7319  1 Nb 1.82
O7 0.4538 0.9360 0.3717  1 V 1.74
O8 0.9179 0.5462 0.4822  1 V 1.74
O9 0.7798 0.1713 0.9594  2 Nb 1.90-1.99
O10 0.2723 0.9799 0.2681  1 Nb 1.82
O11 0.7562 0.6170 0.3642  2 Nb 2.00-2.02
O12 0.8817 0.9481 0.8331  2 Nb 1.86-2.04
O13 0.1150 0.0486 0.1669  2 Nb 1.86-2.04
O14 0.3581 0.1637 0.5110  2 Nb 1.98-2.06
O15 0.5000 0.5000 0.0000  2 Nb 1.94
O16 0.3830 0.7471 0.1392  2 Nb 2.00-2.02
O17 0.9958 0.7277 0.7076  1 Nb 1.82
O18 0.5643 0.0821 0.6283  1 V 1.74
O19 0.1796 0.2202 0.3915  2 Nb 1.90-1.99
O20 0.0201 0.2882 0.2924  1 Nb 1.82
O21 0.2529 0.3921 0.6358  2 Nb 2.00-2.02
O22 0.2119 0.8204 0.0406  2 Nb 1.90-1.99
O23 0.0519 0.8850 0.9336  2 Nb 1.86-2.04
O24 0.6079 0.2438 0.8608  2 Nb 2.00-2.02
O25 0.1529 0.6419 0.8056  2 Nb 1.98-2.06
V1 0.7500 0.2500 0.5000  4 O 1.74

Computed properties:
* E (MP2020): -9.36 eV per atom
* space group: I-4 (82)